# 1
{"formula": "HfZn2", "functional": "GGA-PBE", "state": "optimized geometry", "spacegroup": "No. 227", "e_form_kcal_per_mol_atoms": -5.01, "lattice": [[-3.678, -3.678, 0.000], [-3.678, 0.000, -3.678], [0.000, -3.678, -3.678]], "species": ["Hf", "Hf", "Zn", "Zn", "Zn", "Zn"], "frac_coords": [[0.250, 0.250, 0.250], [0.500, 0.500, 0.500], [0.375, 0.875, 0.875], [0.875, 0.875, 0.375], [0.875, 0.875, 0.875], [0.875, 0.375, 0.875]]}

# 2
{"formula": "As", "functional": "GGA-PBE", "state": "optimized geometry", "spacegroup": "No. 221", "e_form_kcal_per_mol_atoms": 2.59, "e_above_lowest_polymorph_ev_per_atom": 0.112, "lattice": [[2.738, 0.000, 0.000], [0.000, 2.738, 0.000], [0.000, 0.000, 2.738]], "species": ["As"], "frac_coords": [[0.500, 0.500, 0.500]]}

# 3
{"formula": "Mg2P2O7", "functional": "GGA-PBE", "state": "optimized geometry", "spacegroup": "No. 12", "e_form_kcal_per_mol_atoms": -68.71, "e_above_lowest_polymorph_ev_per_atom": 0.006, "energy_mp2020_ev_per_atom": -7.404, "lattice": [[-1.777, -0.543, 4.983], [5.223, -0.927, 0.374], [1.285, 4.057, 1.613]], "species": ["Mg", "Mg", "O", "O", "O", "O", "O", "O", "O", "P", "P"], "frac_coords": [[0.688, 0.312, 0.500], [0.312, 0.688, 0.500], [0.000, 0.000, 0.000], [0.073, 0.377, 0.280], [0.927, 0.623, 0.720], [0.620, 0.620, 0.212], [0.623, 0.927, 0.720], [0.380, 0.380, 0.788], [0.377, 0.073, 0.280], [0.781, 0.781, 0.906], [0.219, 0.219, 0.094]]}

Total energy: -4.38, -4.55, -6.97 (eV per atom)